This record from Materials Project describes a relaxed Sr2LiO12 crystal. The functional is PBE.

Output
Crystal system: triclinic
Energy (eV per atom): -5.137
E above lowest polymorph (eV/f.u.): 1.12
Total magnetization (μB per cell): 1.77
MP2020-corrected energy (eV per cell): -79.0
Energy relative to the elements (eV per atom): -0.955

Cell: 5.161 5.344 8.700 Å, 87.00 78.53 76.32°
Space group P1 (No. 1)
Asymmetric unit:
Sr1 0.000 0.000 0.000 x1
Sr2 0.153 0.617 0.543 x1
Li1 0.499 0.012 0.349 x1
O1 0.101 0.493 0.965 x1
O2 0.147 0.119 0.553 x1
O3 0.176 0.005 0.694 x1
O4 0.321 0.961 0.183 x1
O5 0.492 0.940 0.042 x1
O6 0.515 0.374 0.327 x1
O7 0.613 0.333 0.672 x1
O8 0.631 0.290 0.813 x1
O9 0.688 0.755 0.475 x1
O10 0.721 0.364 0.210 x1
O11 0.869 0.768 0.336 x1
O12 0.997 0.595 0.841 x1

=====

This record from Materials Project describes a relaxed CuP4I crystal. The functional is PBE.

Output
Crystal system: monoclinic
Energy (eV per atom): -4.633
Total magnetization (μB per cell): 0.00
MP2020-corrected energy (eV per cell): -338.1
Energy relative to the elements (eV per atom): -0.150

Cell: 9.841 13.957 13.169 Å, 90.00 109.10 90.00°
Space group P2_1 (No. 4)
Asymmetric unit:
Cu1 0.006 0.000 0.424 x2
Cu2 0.096 0.710 0.439 x2
Cu3 0.205 0.156 0.210 x2
Cu4 0.206 0.882 0.142 x2
Cu5 0.209 0.433 0.348 x2
Cu6 0.211 0.606 0.012 x2
P1 0.231 0.059 0.940 x2
P2 0.233 0.984 0.430 x2
P3 0.305 0.756 0.422 x2
P4 0.308 0.286 0.988 x2
P5 0.308 0.887 0.325 x2
P6 0.314 0.153 0.082 x2
P7 0.319 0.848 0.880 x2
P8 0.324 0.191 0.531 x2
P9 0.330 0.930 0.032 x2
P10 0.333 0.112 0.382 x2
P11 0.350 0.700 0.946 x2
P12 0.351 0.340 0.481 x2
P13 0.385 0.090 0.848 x2
P14 0.386 0.953 0.597 x2
P15 0.409 0.527 0.398 x2
P16 0.411 0.511 0.058 x2
P17 0.436 0.474 0.902 x2
P18 0.436 0.564 0.568 x2
P19 0.450 0.622 0.837 x2
P20 0.454 0.674 0.351 x2
P21 0.456 0.415 0.640 x2
P22 0.459 0.366 0.130 x2
P23 0.467 0.237 0.910 x2
P24 0.467 0.805 0.576 x2
I1 0.003 0.019 0.133 x2
I2 0.003 0.031 0.628 x2
I3 0.098 0.674 0.638 x2
I4 0.103 0.334 0.175 x2
I5 0.104 0.707 0.130 x2
I6 0.111 0.334 0.653 x2

=====

This record from Materials Project describes a relaxed GaFe2AgTe4 crystal. The functional is PBE.

Output
Crystal system: tetragonal
Energy (eV per atom): -4.419
Total magnetization (μB per cell): 14.93
MP2020-corrected energy (eV per cell): -74.1
Energy relative to the elements (eV per atom): -0.208

Cell: 6.219 6.219 12.188 Å, 90.00 90.00 90.00°
Space group I-42m (No. 121)
Asymmetric unit:
Ga1 0.000 0.000 0.000 x2
Fe1 0.000 0.500 0.250 x4
Ag1 0.000 0.000 0.500 x2
Te1 0.244 0.244 0.866 x8

=====

This record from Materials Project describes a relaxed CsRe3S4Br2 crystal. The functional is PBE.

Output
Crystal system: monoclinic
Energy (eV per atom): -6.645
Total magnetization (μB per cell): 0.00
MP2020-corrected energy (eV per cell): -278.1
Energy relative to the elements (eV per atom): -1.148

Cell: 6.471 18.925 10.148 Å, 90.00 114.25 90.00°
Space group P2_1/c (No. 14)
Asymmetric unit:
Cs1 0.050 0.190 0.059 x4
Re1 0.140 0.580 0.105 x4
Re2 0.174 0.058 0.655 x4
Re3 0.220 0.006 0.428 x4
S1 0.085 0.526 0.305 x4
S2 0.171 0.620 0.886 x4
S3 0.233 0.131 0.478 x4
S4 0.497 0.516 0.184 x4
Br1 0.319 0.696 0.242 x4
Br2 0.407 0.139 0.868 x4

=====

This record from Materials Project describes a relaxed UO4 crystal. The functional is PBE.

Output
Crystal system: orthorhombic
Energy (eV per atom): -8.181
E above lowest polymorph (eV/f.u.): 0.12
Total magnetization (μB per cell): 0.02
MP2020-corrected energy (eV per cell): -174.6
Energy relative to the elements (eV per atom): -2.514

Cell: 3.961 11.735 6.891 Å, 90.00 90.00 90.00°
Space group Cmce (No. 64)
Asymmetric unit:
U1 0.000 0.000 0.000 x4
O1 0.000 0.015 0.335 x8
O2 0.000 0.153 0.961 x8

=====

This record from Materials Project describes a relaxed NaTiSi2O6 crystal. The functional is PBE.

Output
Crystal system: triclinic
Energy (eV per atom): -7.667
Total magnetization (μB per cell): 2.00
MP2020-corrected energy (eV per cell): -161.6
Energy relative to the elements (eV per atom): -3.104

Cell: 5.315 6.651 6.654 Å, 83.55 77.90 77.96°
Space group P-1 (No. 2)
Asymmetric unit:
Na1 0.247 0.195 0.300 x2
Ti1 0.251 0.589 0.912 x2
Si1 0.241 0.115 0.799 x2
Si2 0.259 0.699 0.386 x2
O1 0.016 0.142 0.654 x2
O2 0.150 0.295 0.964 x2
O3 0.196 0.608 0.622 x2
O4 0.306 0.879 0.892 x2
O5 0.348 0.534 0.206 x2
O6 0.485 0.843 0.359 x2

=====

This record from Materials Project describes a relaxed YCo12B6 crystal. The functional is PBE.

Output
Crystal system: trigonal
Energy (eV per atom): -7.287
Energy relative to the elements (eV per atom): -0.348

Cell: 9.3926 9.3926 7.4194 Å, 90.00 90.00 120.00°
Space group R-3m (No. 166, hexagonal axes)
Asymmetric unit:
Y1 0.0000 0.0000 0.0000 x3
Co1 0.0000 0.3676 0.5000 x18
Co2 0.0901 0.1803 0.3664 x18
B1 0.0378 0.5189 0.2861 x18